# DyTmCd2

A geometry-optimized DyTmCd2 structure (meta-GGA r2SCAN, the Materials Project database).

## Properties
ΔH_f (0 K), meV/atom: -381
Space group: Fm-3m

abc: 5.224 5.224 5.224
angles: 60.00 60.00 60.00
Atoms (fractional coordinates):
1 Dy 0.000 0.000 0.000
2 Tm 0.500 0.500 0.500
3 Cd 0.250 0.250 0.250
4 Cd 0.750 0.750 0.750